Record 1
Material: LiV6O7F5
Method: DFT, PBE with a Hubbard U
State: optimized geometry

a b c (Å): 4.817 5.695 7.831
angles (deg): 85.15 89.55 89.69
Sites, in units of the cell vectors:
1 Li 0.000 0.000 0.000
2 V 0.026 0.569 0.884
3 V 0.040 0.941 0.575
4 V 0.473 0.432 0.550
5 V 0.484 0.774 0.252
6 V 0.488 0.119 0.909
7 V 0.988 0.286 0.246
8 O 0.191 0.239 0.464
9 O 0.192 0.898 0.812
10 O 0.293 0.742 0.468
11 O 0.297 0.068 0.136
12 O 0.313 0.399 0.789
13 O 0.693 0.484 0.330
14 O 0.816 0.293 0.998
15 F 0.197 0.575 0.129
16 F 0.698 0.131 0.666
17 F 0.704 0.798 0.009
18 F 0.799 0.976 0.345
19 F 0.801 0.635 0.663

Calculated values
ΔE_f: -2712 meV per atom
E above lowest polymorph: 40 meV/atom
Crystal system: triclinic
Space group: P1

=====

Record 2
Material: Li3FeP2O9
Method: DFT, PBE with a Hubbard U
State: optimized geometry

a b c (Å): 6.880 7.144 7.953
angles (deg): 89.79 64.48 87.69
Sites, in units of the cell vectors:
1 Li 0.000 0.000 0.000
2 Li 0.088 0.268 0.289
3 Li 0.229 0.530 0.588
4 Li 0.467 0.468 0.066
5 Li 0.688 0.071 0.525
6 Li 0.850 0.771 0.794
7 Fe 0.086 0.770 0.290
8 Fe 0.583 0.766 0.297
9 P 0.194 0.059 0.549
10 P 0.474 0.013 0.998
11 P 0.706 0.524 0.592
12 P 0.964 0.477 0.041
13 O 0.042 0.572 0.853
14 O 0.076 0.965 0.736
15 O 0.082 0.008 0.418
16 O 0.094 0.536 0.154
17 O 0.192 0.272 0.551
18 O 0.268 0.895 0.047
19 O 0.323 0.667 0.321
20 O 0.408 0.204 0.093
21 O 0.438 0.991 0.454
22 O 0.536 0.622 0.533
23 O 0.594 0.012 0.785
24 O 0.602 0.522 0.804
25 O 0.635 0.898 0.057
26 O 0.718 0.532 0.157
27 O 0.779 0.332 0.496
28 O 0.844 0.869 0.268
29 O 0.904 0.653 0.538
30 O 0.985 0.264 0.041

Calculated values
ΔE_f: -2307 meV per atom
Crystal system: triclinic
Space group: P1

=====

Record 3
Material: Ba3In2MoO9
Method: DFT, PBE with a Hubbard U
State: optimized geometry

a b c (Å): 5.958 5.958 7.320
angles (deg): 90.00 90.00 120.00
Sites, in units of the cell vectors:
1 Ba 0.000 0.000 0.000
2 Ba 0.333 0.667 0.683
3 Ba 0.667 0.333 0.317
4 In 0.333 0.667 0.166
5 In 0.667 0.333 0.834
6 Mo 0.000 0.000 0.500
7 O 0.000 0.500 0.000
8 O 0.156 0.311 0.347
9 O 0.156 0.844 0.347
10 O 0.311 0.156 0.653
11 O 0.500 0.000 0.000
12 O 0.500 0.500 0.000
13 O 0.689 0.844 0.347
14 O 0.844 0.156 0.653
15 O 0.844 0.689 0.653

Calculated values
ΔE_f: -2521 meV per atom
Crystal system: trigonal
Space group: P-3m1

=====

Record 4
Material: Cs3CrF7
Method: DFT, PBE with a Hubbard U
State: optimized geometry

a b c (Å): 8.518 8.518 6.375
angles (deg): 90.00 90.00 90.00
Sites, in units of the cell vectors:
1 Cs 0.000 0.000 0.000
2 Cs 0.193 0.307 0.500
3 Cs 0.307 0.807 0.500
4 Cs 0.500 0.500 0.000
5 Cs 0.693 0.193 0.500
6 Cs 0.807 0.693 0.500
7 Cr 0.000 0.500 0.000
8 Cr 0.500 0.000 0.000
9 F 0.000 0.000 0.500
10 F 0.109 0.609 0.211
11 F 0.109 0.609 0.789
12 F 0.154 0.346 0.000
13 F 0.346 0.846 0.000
14 F 0.391 0.109 0.211
15 F 0.391 0.109 0.789
16 F 0.500 0.500 0.500
17 F 0.609 0.891 0.211
18 F 0.609 0.891 0.789
19 F 0.654 0.154 0.000
20 F 0.846 0.654 0.000
21 F 0.891 0.391 0.211
22 F 0.891 0.391 0.789

Calculated values
ΔE_f: -2949 meV per atom
Crystal system: tetragonal
Space group: P4/mbm

=====

Question: The lowest ΔE_f belongs to which entry?
Answer: Cs3CrF7

=====

Question: Among the records above, which one has the lowest ΔE_f?
Answer: Cs3CrF7